An optimized crystal structure of Li5Fe8B8O24. Source: the Materials Project database, functional PBE+U. Values from VASP.

Quantum ESPRESSO input file:
```
&SYSTEM
  ibrav = 0, nat = 45, ntyp = 4
/
ATOMIC_SPECIES
Li 6.94 Li.upf
Fe 55.84 Fe.upf
B 10.81 B.upf
O 16.00 O.upf
ATOMIC_POSITIONS crystal
Li 0.154 0.172 0.661
Li 0.189 0.162 0.167
Li 0.337 0.323 0.906
Li 0.683 0.666 0.151
Li 0.825 0.829 0.411
Fe 0.175 0.827 0.634
Fe 0.184 0.498 0.133
Fe 0.323 0.989 0.885
Fe 0.334 0.649 0.382
Fe 0.649 0.354 0.624
Fe 0.686 0.997 0.119
Fe 0.817 0.172 0.381
Fe 0.831 0.506 0.876
B 0.151 0.499 0.635
B 0.176 0.833 0.133
B 0.322 0.995 0.383
B 0.333 0.659 0.876
B 0.672 0.003 0.622
B 0.670 0.332 0.125
B 0.840 0.501 0.371
B 0.828 0.173 0.877
O 0.092 0.492 0.332
O 0.090 0.168 0.861
O 0.207 0.783 0.826
O 0.219 0.864 0.430
O 0.168 0.116 0.357
O 0.191 0.535 0.916
O 0.277 0.366 0.636
O 0.296 0.965 0.095
O 0.269 0.627 0.588
O 0.323 0.709 0.162
O 0.410 0.320 0.108
O 0.413 0.000 0.658
O 0.585 0.003 0.356
O 0.590 0.657 0.889
O 0.696 0.307 0.849
O 0.720 0.372 0.419
O 0.709 0.633 0.365
O 0.690 0.054 0.919
O 0.798 0.460 0.086
O 0.818 0.876 0.617
O 0.786 0.138 0.586
O 0.808 0.212 0.178
O 0.915 0.827 0.142
O 0.902 0.509 0.682
CELL_PARAMETERS angstrom
-0.115 -5.074 -1.322
4.069 1.880 -7.883
9.206 -1.384 4.219
```

## Properties
For the distance to the lowest polymorph of the same formula, the calculation gives 11 meV per atom. As for the energy relative to the elements: -2.28 eV/atom. Its total energy is -7.057 eV/atom. The volume comes out at 10.80 Å³/atom.